i | ! Li2Co2S3O12, optimized geometry, DFT GGA+U; values from VASP
! Space group = No. 61
&SYSTEM
  ibrav = 0, nat = 152, ntyp = 4
/
ATOMIC_SPECIES
Li 6.94 Li.upf
Co 58.93 Co.upf
S 32.06 S.upf
O 16.00 O.upf
ATOMIC_POSITIONS angstrom
Li 0.3226 5.4500 6.9849
Li 0.3226 7.6914 19.0089
Li 1.2580 4.9840 12.2448
Li 1.2580 8.1574 0.2209
Li 3.0676 0.6036 12.2448
Li 3.0676 3.7769 0.2209
Li 4.0031 1.0695 6.9849
Li 4.0031 3.3109 19.0089
Li 4.6482 5.4500 5.0391
Li 4.6482 7.6914 17.0631
Li 5.5836 4.9840 23.8271
Li 5.5836 8.1574 11.8031
Li 7.3933 3.7769 11.8031
Li 7.3933 0.6036 23.8271
Li 8.3287 1.0695 5.0391
Li 8.3287 3.3109 17.0631
Co 0.0341 3.5011 1.5300
Co 0.0341 0.8794 13.5540
Co 8.6485 6.9724 4.3052
Co 8.6485 6.1690 16.3292
Co 4.3284 2.5919 4.3052
Co 4.3284 1.7886 16.3292
Co 4.2916 5.2599 13.5540
Co 4.2916 7.8815 1.5300
Co 4.3597 3.5011 10.4940
Co 4.3597 0.8794 22.5180
Co 4.3229 6.1690 19.7428
Co 4.3229 6.9724 7.7188
Co 0.0028 2.5919 7.7188
Co 0.0028 1.7886 19.7428
Co 8.6172 7.8815 10.4940
Co 8.6172 5.2599 22.5180
S 1.2441 8.2976 7.2074
S 1.2441 4.8439 19.2314
S 1.2856 2.2230 10.7439
S 1.2856 2.1575 22.7679
S 1.7030 0.8258 2.8019
S 1.7030 3.5547 14.8258
S 2.6226 5.2062 2.8019
S 2.6226 7.9352 14.8258
S 3.0400 6.6035 10.7439
S 3.0400 6.5380 22.7679
S 3.0815 3.9171 7.2074
S 3.0815 0.4634 19.2314
S 5.5698 4.8439 16.8406
S 5.5698 8.2976 4.8166
S 5.6112 2.1575 13.3040
S 5.6112 2.2230 1.2800
S 6.0287 0.8258 9.2221
S 6.0287 3.5547 21.2461
S 6.9482 5.2062 9.2221
S 6.9482 7.9352 21.2461
S 7.3657 6.6035 1.2800
S 7.3657 6.5380 13.3040
S 7.4071 3.9171 4.8166
S 7.4071 0.4634 16.8406
O 0.5523 3.4212 11.1871
O 0.5523 0.9593 23.2111
O 0.7096 0.8422 6.7126
O 0.7096 3.5383 18.7366
O 0.7235 0.9697 11.4200
O 0.7235 3.4108 23.4440
O 0.7519 7.9940 8.5528
O 0.7519 5.1474 20.5768
O 0.8192 1.6747 1.9815
O 0.8192 2.7057 14.0055
O 0.7949 7.2099 6.2777
O 0.7949 5.9315 18.3016
O 0.8534 0.0836 3.7806
O 0.8534 4.2968 15.8046
O 1.2073 2.0363 9.2957
O 1.2073 2.3442 21.3196
O 1.5875 3.9766 7.1705
O 1.5875 0.4039 19.1944
O 1.6189 5.9832 3.5328
O 1.6189 7.1582 15.5568
O 1.6192 6.6976 11.2003
O 1.6192 6.4439 23.2243
O 1.9664 4.2343 1.8576
O 1.9664 0.1461 13.8816
O 2.3592 8.6148 1.8576
O 2.3592 4.5266 13.8816
O 2.7064 2.0634 23.2243
O 2.7064 2.3171 11.2003
O 2.7068 1.6028 3.5328
O 2.7068 2.7777 15.5568
O 2.7382 8.3570 7.1705
O 2.7382 4.7844 19.1944
O 3.1184 6.4168 9.2957
O 3.1184 6.7247 21.3196
O 3.4722 4.4641 3.7806
O 3.4722 8.6773 15.8046
O 3.5307 2.8294 6.2777
O 3.5307 1.5511 18.3016
O 3.5064 6.0552 1.9815
O 3.5064 7.0862 14.0055
O 3.5738 0.7669 20.5768
O 3.5738 3.6135 8.5528
O 3.6022 5.3502 11.4200
O 3.6022 7.7913 23.4440
O 3.6161 5.2226 6.7126
O 3.6161 7.9188 18.7366
O 3.7733 5.3398 23.2111
O 3.7733 7.8016 11.1871
O 4.8780 3.4212 0.8369
O 4.8780 0.9593 12.8609
O 5.0352 0.8422 5.3114
O 5.0352 3.5383 17.3354
O 5.0491 0.9697 0.6040
O 5.0491 3.4108 12.6280
O 5.0775 5.1474 15.4952
O 5.0775 7.9940 3.4712
O 5.1448 1.6747 10.0425
O 5.1448 2.7057 22.0665
O 5.1205 5.9315 17.7703
O 5.1205 7.2099 5.7463
O 5.1790 0.0836 8.2434
O 5.1790 4.2968 20.2673
O 5.5329 2.0363 2.7283
O 5.5329 2.3442 14.7523
O 5.9131 3.9766 4.8535
O 5.9131 0.4039 16.8775
O 5.9445 5.9832 8.4912
O 5.9445 7.1582 20.5152
O 5.9448 6.6976 0.8237
O 5.9448 6.4439 12.8477
O 6.2921 4.2343 10.1664
O 6.2921 0.1461 22.1903
O 6.6848 8.6148 10.1664
O 6.6848 4.5266 22.1903
O 7.0321 2.3171 0.8237
O 7.0321 2.0634 12.8477
O 7.0324 1.6028 8.4912
O 7.0324 2.7777 20.5152
O 7.0638 4.7844 16.8775
O 7.0638 8.3570 4.8535
O 7.4440 6.4168 2.7283
O 7.4440 6.7247 14.7523
O 7.7979 4.4641 8.2434
O 7.7979 8.6773 20.2673
O 7.8564 2.8294 5.7463
O 7.8564 1.5511 17.7703
O 7.8320 6.0552 10.0425
O 7.8320 7.0862 22.0665
O 7.8994 3.6135 3.4712
O 7.8994 0.7669 15.4952
O 7.9278 5.3502 0.6040
O 7.9278 7.7913 12.6280
O 7.9417 5.2226 5.3114
O 7.9417 7.9188 17.3354
O 8.0989 5.3398 12.8609
O 8.0989 7.8016 0.8369
CELL_PARAMETERS angstrom
8.6513 0.0000 0.0000
0.0000 8.7609 0.0000
0.0000 0.0000 24.0480



ii | ! Li2Co2S3O12, optimized geometry, DFT GGA+U; values from VASP
! Space group = No. 60
&SYSTEM
  ibrav = 0, nat = 76, ntyp = 4
/
ATOMIC_SPECIES
Li 6.94 Li.upf
Co 58.93 Co.upf
S 32.06 S.upf
O 16.00 O.upf
ATOMIC_POSITIONS angstrom
Li 1.4865 -3.2937 -1.2174
Li 2.7196 -6.7914 -6.6617
Li 5.2117 -5.6731 -2.9296
Li -0.4324 -7.0419 -3.1300
Li 5.6236 -9.2335 -0.1819
Li -0.0204 -10.6023 -0.3824
Li 2.4716 -9.4841 3.3497
Li 3.7048 -12.9817 -2.0946
Co 6.2905 -3.8052 -5.0065
Co 0.3965 -5.4498 -5.5268
Co 4.6752 -8.9463 -5.9556
Co 3.1922 -5.7243 -0.8311
Co 0.5160 -7.3292 2.6437
Co 1.9991 -10.5511 -2.4808
Co 4.7947 -10.8257 2.2148
Co -1.0992 -12.4702 1.6946
S -0.1656 -2.6119 -3.7232
S 3.1980 -3.7589 -6.4410
S 4.3752 -2.8355 -2.3183
S -2.8649 -5.9654 -4.5614
S -0.2043 -5.6206 -0.2942
S 2.6250 -7.3572 -3.6959
S 6.4829 -6.2780 -0.1925
S -1.2917 -9.9975 -3.1195
S 2.5662 -8.9182 0.3839
S 5.3955 -10.6549 -3.0178
S 8.0561 -10.3101 1.2494
S 0.8160 -13.4399 -0.9936
O 3.7443 -1.8209 -3.1600
O -3.1904 -4.6138 -5.0122
O 0.4050 -3.8082 -4.3555
O 4.5772 -4.0632 -6.0386
O -0.1008 -2.8199 -2.2409
O 2.3641 -4.9585 -6.1088
O 0.8661 -2.1031 0.2016
O 0.7975 -7.0370 -6.9087
O 5.2673 -3.7302 -3.1152
O -1.3945 -6.2219 -4.6181
O 4.1104 -7.6718 -7.6710
O 3.3299 -3.6749 -1.6476
O 6.4639 -5.9176 -4.3790
O 1.2724 -6.7871 -4.0002
O 3.3634 -7.5471 -4.9803
O 1.1125 -5.1723 -0.8385
O 3.3879 -6.3698 -2.8645
O -0.9544 -6.3024 -1.3990
O 5.2926 -5.8426 -0.9915
O -1.5832 -8.5704 -2.7683
O 3.4376 -5.1697 1.0922
O 3.1989 -10.2912 -6.2357
O 2.4895 -8.6156 -2.9651
O -0.0343 -6.5420 0.8275
O 2.7017 -7.6598 -0.3468
O 5.2256 -9.7335 -4.1394
O 1.9923 -5.9842 2.9237
O 1.7536 -11.1057 -4.4041
O 6.7744 -7.7050 -0.5437
O -0.1014 -10.4329 -2.3204
O 6.1456 -9.9731 -1.9129
O 1.8033 -9.9057 -0.4474
O 1.8278 -8.7284 1.6684
O 4.0787 -11.1032 -2.4735
O 3.9188 -9.4884 0.6883
O -1.2727 -10.3579 1.0670
O 1.0808 -8.6036 4.3591
O 1.8614 -12.6006 -1.6644
O 6.5857 -10.0535 1.3061
O -0.0761 -12.5452 -0.1968
O 4.3937 -9.2384 3.5967
O 4.3251 -14.1724 -3.5135
O 2.8271 -11.3169 2.7969
O 5.2920 -13.4556 -1.0711
O 4.7862 -12.4673 1.0435
O 0.6140 -12.2122 2.7266
O 8.3816 -11.6617 1.7003
O 1.4469 -14.4545 -0.1519
CELL_PARAMETERS angstrom
-4.4109 -4.8665 -5.6447
7.4433 -1.5042 -4.5194
2.1588 -9.9047 6.8522



Which is the most stable structure? ii is the most stable.



i | ! LiCoSiO4, optimized geometry, DFT GGA+U; values from VASP
! Largest piezoelectric modulus = 0.6 C/m²
&SYSTEM
  ibrav = 0, nat = 42, ntyp = 4
/
ATOMIC_SPECIES
Li 6.94 Li.upf
Co 58.93 Co.upf
Si 28.09 Si.upf
O 16.00 O.upf
ATOMIC_POSITIONS angstrom
Li -3.8097 3.1463 -3.0878
Li -4.3137 -2.3416 -3.1383
Li -4.7950 0.4171 2.9063
Li -7.5065 -2.0602 -1.2024
Li -7.9897 0.6943 4.8397
Li -10.7011 -1.7834 0.7311
Co -4.5626 -5.0856 -3.1655
Co -12.0600 -3.0220 -1.3211
Co -6.4026 -3.5656 0.8268
Co -4.0585 0.4026 -3.1152
Co -9.3484 -0.5443 2.7879
Co -5.8987 1.9227 0.8772
Si -8.8536 0.8309 -0.2087
Si -9.3570 -4.6576 -0.2594
Si -4.5477 -0.9583 -0.1112
Si -7.2598 -3.4362 -4.2200
Si -10.6940 2.3383 3.7830
Si -1.6090 -3.9855 -2.0812
O -3.9415 -0.7938 -4.5103
O -4.4449 -6.2822 -4.5608
O -8.5519 -0.2408 -1.4188
O -9.0558 -5.7294 -1.4696
O -3.0603 -1.2852 0.5061
O -5.7722 -3.7630 -3.6027
O -10.0058 1.9879 -0.3925
O -10.5095 -3.5004 -0.4430
O -5.7388 -2.0902 -0.0516
O -8.4508 -4.5684 -4.1606
O -10.5213 -1.9636 2.8171
O -13.2336 -4.4414 -1.2916
O -5.0082 0.3091 0.8275
O -7.7203 -2.1684 -3.2811
O -9.7271 1.0126 3.6967
O -12.4392 -1.4651 -0.4118
O -4.3956 -0.7743 -1.7389
O -7.1072 -3.2520 -5.8476
O -9.3456 -0.1954 0.9793
O -9.8495 -5.6833 0.9288
O -2.6233 1.4628 -2.6576
O -3.1269 -4.0253 -2.7083
O -7.5090 1.7530 -0.0042
O -8.0125 -3.7351 -0.0547
CELL_PARAMETERS angstrom
-2.2078 3.0105 -4.0585
-3.2157 -7.9661 -4.1593
-9.5893 0.8356 5.8133



ii | ! LiCoSiO4, optimized geometry, DFT GGA+U; values from VASP
! Space group = No. 7
&SYSTEM
  ibrav = 0, nat = 28, ntyp = 4
/
ATOMIC_SPECIES
Li 6.94 Li.upf
Co 58.93 Co.upf
Si 28.09 Si.upf
O 16.00 O.upf
ATOMIC_POSITIONS angstrom
Li 1.8515 1.4837 1.6685
Li 4.4693 5.8672 3.2199
Li 3.5166 2.5838 5.7722
Li 0.8988 6.9672 7.3236
Co 4.5907 0.3993 0.5571
Co 1.7703 4.6202 2.2439
Co 0.7774 1.4994 4.6608
Co 3.5978 5.7203 6.3476
Si 3.5726 5.9279 0.1547
Si 4.4548 2.7749 2.6325
Si 1.7955 7.0280 4.2584
Si 0.9133 3.8749 6.7361
O 0.8998 0.9283 0.0164
O 2.0547 5.4119 0.5825
O 3.7952 1.7582 1.5148
O 0.6714 3.0974 2.2762
O 4.3766 6.5823 1.4426
O 3.5380 4.1308 2.7365
O 4.4683 2.0284 4.1201
O 1.0337 5.7552 3.5381
O 1.7252 8.3737 3.3006
O 3.3134 6.5120 4.6861
O 1.5729 2.8582 5.6185
O 4.6967 4.1975 6.3799
O 0.9915 7.6823 5.5462
O 1.8301 5.2309 6.8402
O 4.3344 6.8552 7.6418
O 3.6429 9.4738 7.4043
CELL_PARAMETERS angstrom
5.3681 0.0000 0.0000
0.0000 7.8872 0.0000
0.0000 2.2002 8.2074



iii | ! LiCoSiO4, optimized geometry, DFT GGA+U; values from VASP
! Space group = No. 14
&SYSTEM
  ibrav = 0, nat = 84, ntyp = 4
/
ATOMIC_SPECIES
Li 6.94 Li.upf
Co 58.93 Co.upf
Si 28.09 Si.upf
O 16.00 O.upf
ATOMIC_POSITIONS angstrom
Li -3.1468 6.9449 17.6886
Li -5.6160 -0.6940 12.5292
Li -0.3527 6.5546 4.6527
Li -8.0604 2.2666 8.2845
Li -3.8436 3.0613 17.3698
Li -6.3730 3.1893 12.6564
Li -2.5722 3.5468 8.8272
Li -5.1016 3.6747 4.1139
Li -0.8848 4.4694 13.1992
Li -8.5925 0.1815 16.8310
Li -3.3292 7.4301 8.9544
Li -5.7984 -0.2089 3.7951
Co -5.5188 4.7090 9.7102
Co -3.3131 5.8151 14.8354
Co -0.3575 5.2239 1.7327
Co -8.0324 0.6106 11.0330
Co -6.1868 1.7429 15.3617
Co -2.8708 1.0922 3.0536
Co -6.0744 5.6438 18.4301
Co -2.7584 4.9931 6.1220
Co -0.9128 6.1254 10.4506
Co -8.5877 1.5122 19.7510
Co -5.6321 0.9210 6.6483
Co -3.4264 2.0271 11.7735
Si -5.4156 1.5391 9.5768
Si -3.2609 0.8980 14.6446
Si -0.4216 2.0876 1.5352
Si -7.9818 5.4860 11.3304
Si -6.2249 4.8485 15.4485
Si -2.9870 5.9390 3.2832
Si -5.9582 0.7971 18.2004
Si -2.7203 1.8876 6.0352
Si -0.9634 1.2500 10.1533
Si -8.5236 4.6484 19.9485
Si -5.6843 5.8380 6.8391
Si -3.5296 5.1969 11.9068
O -4.0586 3.6889 12.3181
O -4.0120 6.2036 13.1219
O -1.7011 5.2923 17.4850
O -2.8794 -0.5871 15.2466
O -2.6506 1.9607 15.7529
O -6.4129 5.5636 8.2934
O -4.8185 1.0575 11.0358
O -7.2898 1.7851 6.6476
O -1.1324 3.5680 1.3670
O -4.8685 0.9854 14.3491
O -7.0647 1.4972 9.6905
O -1.6321 0.9817 1.6239
O -6.7544 4.4164 11.1168
O -1.3376 5.9358 3.1669
O -4.6186 4.9263 15.7534
O -7.2938 6.9483 11.6676
O -1.1143 5.8770 6.2230
O -4.6668 4.6178 19.0532
O -6.8526 6.0215 14.4686
O -1.9888 1.7927 4.5597
O -6.5839 3.4363 14.6801
O -7.7929 1.5020 12.6682
O -5.4925 1.9436 17.1090
O -5.4063 -0.6457 17.6197
O -3.5389 7.3817 3.8639
O -3.4527 4.7925 4.3746
O -1.1523 5.2340 8.8155
O -2.3613 3.2997 6.8036
O -6.9564 4.9433 16.9239
O -2.0926 0.7146 7.0151
O -4.2784 2.1182 2.4305
O -7.8309 0.8590 15.2607
O -1.6514 -0.2123 9.8161
O -4.3266 1.8098 5.7303
O -7.6076 0.8002 18.3167
O -2.1908 2.3196 10.3669
O -7.3131 5.7543 19.8598
O -1.8805 5.2389 11.7931
O -4.0767 5.7506 7.1345
O -7.8128 3.1680 20.1167
O -1.6554 4.9509 14.8360
O -4.1267 5.6786 10.4479
O -2.5323 1.1724 13.1903
O -6.2946 4.7753 5.7308
O -6.0658 7.3231 6.2371
O -7.2441 1.4438 3.9986
O -4.9332 0.5324 8.3618
O -4.8866 3.0472 9.1656
CELL_PARAMETERS angstrom
-0.0622 8.0123 0.4601
-7.7942 -0.2757 3.7486
-1.0889 -1.0005 17.2750



iv | ! LiCoSiO4, optimized geometry, DFT GGA+U; values from VASP
! Space group = No. 14
&SYSTEM
  ibrav = 0, nat = 28, ntyp = 4
/
ATOMIC_SPECIES
Li 6.94 Li.upf
Co 58.93 Co.upf
Si 28.09 Si.upf
O 16.00 O.upf
ATOMIC_POSITIONS angstrom
Li 3.0038 4.8699 4.6692
Li 7.4595 6.9975 4.7927
Li 1.4519 2.5344 1.5152
Li 5.9076 4.6620 1.6387
Co 0.0000 4.7660 3.1540
Co 4.4557 2.3355 3.1540
Co 0.0000 0.0000 0.0000
Co 4.4557 2.4304 0.0000
Si 1.5887 7.3094 4.6648
Si 6.0444 4.5581 4.7972
Si 2.8670 4.9738 1.5108
Si 7.3227 2.2225 1.6432
O 1.0237 3.2215 3.3394
O 5.4907 3.8460 3.4238
O 1.1561 5.7275 4.6815
O 3.2393 7.6433 4.6694
O 7.6950 4.2241 4.7925
O 5.6118 6.1399 4.7804
O 1.0350 8.0215 6.0381
O 5.4794 8.6459 6.1225
O 3.4320 0.8860 0.1855
O 7.8764 1.5104 0.2698
O 3.2996 3.3920 1.5276
O 1.2164 5.3078 1.5154
O 5.6721 1.8886 1.6385
O 7.7553 3.8044 1.6264
O 3.4207 5.6860 2.8842
O 7.8877 6.3104 2.9685
CELL_PARAMETERS angstrom
8.9114 0.0000 0.0000
0.0000 4.8609 0.0000
0.0000 4.6710 6.3080



Which is the most stable structure? i is the most stable.